VASP calculation (PBE-GGA) on an optimized crystal structure of Na6MnS4.

```
Na6MnS4
1.0
4.505 -7.802 0.000
4.505 7.802 0.000
0.000 0.000 6.984
Na Mn S
12 2 8
direct
0.533 0.065 0.368
0.065 0.533 0.868
0.293 0.147 0.036
0.147 0.293 0.536
0.467 0.935 0.868
0.935 0.467 0.368
0.853 0.707 0.036
0.853 0.147 0.036
0.533 0.467 0.368
0.707 0.853 0.536
0.147 0.853 0.536
0.467 0.533 0.868
0.667 0.333 0.751
0.333 0.667 0.251
0.333 0.667 0.596
0.667 0.333 0.096
0.374 0.187 0.643
0.813 0.626 0.643
0.626 0.813 0.143
0.187 0.813 0.143
0.187 0.374 0.143
0.813 0.187 0.643
```

Summary:
Calculated total energy, eV per formula unit: -44.749
Space group: P6_3mc, No. 186
Energy relative to the elements, eV/atom: -1.193
Maximum piezoelectric response, C/m²: 0.25